[1]
Entry from the Materials Project: an optimized crystal structure of HgCl2 (r2SCAN).

Summary:
E_form = -0.68 eV/atom

a = 4.745 Å, b = 5.737 Å, c = 12.479 Å
α = 90.00°, β = 90.00°, γ = 90.00°
Sites, in units of the cell vectors:
Hg 0.037 0.250 0.126
Hg 0.463 0.250 0.626
Hg 0.963 0.750 0.874
Hg 0.537 0.750 0.374
Cl 0.848 0.750 0.231
Cl 0.152 0.250 0.769
Cl 0.348 0.250 0.269
Cl 0.224 0.750 0.516
Cl 0.276 0.750 0.016
Cl 0.724 0.250 0.984
Cl 0.652 0.750 0.731
Cl 0.776 0.250 0.484

***

[2]
Entry from the Materials Project: an optimized crystal structure of K2HgCl4 (r2SCAN).

Summary:
E_form = -1.55 eV/atom

a = 7.763 Å, b = 8.901 Å, c = 11.848 Å
α = 90.00°, β = 90.00°, γ = 90.00°
Sites, in units of the cell vectors:
Cl 0.727 0.000 0.560
Cl 0.620 0.750 0.307
Cl 0.729 0.500 0.558
Cl 0.271 0.500 0.442
Cl 0.773 0.000 0.060
Cl 0.120 0.750 0.193
Cl 0.880 0.750 0.807
Cl 0.229 0.500 0.942
Cl 0.380 0.750 0.693
Cl 0.380 0.250 0.693
Cl 0.880 0.250 0.807
Cl 0.227 0.000 0.940
Cl 0.771 0.500 0.058
Cl 0.620 0.250 0.307
Cl 0.120 0.250 0.193
Cl 0.273 0.000 0.440
Hg 0.000 0.750 0.000
Hg 0.500 0.250 0.500
Hg 0.000 0.250 0.000
Hg 0.500 0.750 0.500
K 0.593 0.500 0.818
K 0.407 0.500 0.182
K 0.592 0.000 0.821
K 0.092 0.000 0.679
K 0.408 0.000 0.179
K 0.908 0.000 0.321
K 0.907 0.500 0.318
K 0.093 0.500 0.682